Entry 1:
Material: Na2Mg5Ti3S12O48
Method: DFT, PBE
State: relaxed

The calculation puts the energy relative to the elements at -163.878 eV per formula unit. As for the magnetization: 0.00 μB/cell. As for the symmetry: P1 (1). The calculation puts the volume at 13.713 Å³ per atom.

Geometry as POSCAR:
```
Na2Mg5Ti3S12O48
1.0
17.224 -0.003 0.012
-4.307 7.458 -0.004
0.015 -0.004 22.421
Na Mg Ti S O
6 15 9 36 144
Direct
0.001 0.001 0.500 Na
0.502 0.003 0.999 Na
0.335 0.335 0.831 Na
0.832 0.331 0.832 Na
0.332 0.333 0.337 Na
0.835 0.333 0.334 Na
0.001 0.002 0.354 Mg
0.501 0.000 0.852 Mg
0.001 0.001 0.648 Mg
0.502 0.002 0.148 Mg
0.333 0.332 0.685 Mg
0.834 0.335 0.685 Mg
0.832 0.333 0.185 Mg
0.333 0.334 0.980 Mg
0.833 0.333 0.982 Mg
0.333 0.334 0.483 Mg
0.834 0.333 0.482 Mg
0.165 0.662 0.312 Mg
0.669 0.670 0.312 Mg
0.169 0.669 0.810 Mg
0.665 0.665 0.810 Mg
0.503 0.000 0.357 Ti
0.999 0.999 0.850 Ti
0.499 0.999 0.649 Ti
0.995 0.998 0.148 Ti
0.334 0.334 0.187 Ti
0.165 0.667 0.019 Ti
0.668 0.664 0.020 Ti
0.165 0.664 0.523 Ti
0.669 0.670 0.525 Ti
0.144 0.999 0.249 S
0.645 0.999 0.250 S
0.355 0.713 0.250 S
0.855 0.708 0.252 S
0.999 0.290 0.251 S
0.501 0.289 0.250 S
0.145 0.291 0.750 S
0.646 0.290 0.751 S
0.000 0.709 0.749 S
0.499 0.708 0.751 S
0.355 0.002 0.751 S
0.854 0.999 0.749 S
0.479 0.332 0.583 S
0.978 0.330 0.583 S
0.187 0.043 0.582 S
0.687 0.044 0.584 S
0.334 0.625 0.584 S
0.835 0.625 0.582 S
0.478 0.624 0.082 S
0.979 0.626 0.083 S
0.334 0.044 0.082 S
0.832 0.042 0.083 S
0.188 0.332 0.083 S
0.687 0.332 0.082 S
0.311 0.666 0.916 S
0.811 0.666 0.915 S
0.022 0.377 0.915 S
0.522 0.377 0.916 S
0.167 0.957 0.915 S
0.667 0.956 0.916 S
0.311 0.956 0.415 S
0.811 0.956 0.417 S
0.168 0.378 0.417 S
0.668 0.381 0.416 S
0.022 0.666 0.416 S
0.522 0.664 0.416 S
0.109 0.041 0.302 O
0.598 0.027 0.305 O
0.413 0.791 0.304 O
0.912 0.792 0.303 O
0.481 0.173 0.304 O
0.984 0.176 0.303 O
0.099 0.170 0.805 O
0.605 0.177 0.804 O
0.483 0.790 0.804 O
0.986 0.801 0.805 O
0.411 0.033 0.804 O
0.915 0.028 0.805 O
0.401 0.977 0.696 O
0.896 0.973 0.697 O
0.090 0.207 0.697 O
0.588 0.197 0.696 O
0.013 0.819 0.697 O
0.511 0.825 0.696 O
0.396 0.817 0.196 O
0.901 0.825 0.196 O
0.011 0.196 0.196 O
0.512 0.208 0.196 O
0.089 0.977 0.195 O
0.590 0.973 0.197 O
0.443 0.370 0.636 O
0.942 0.369 0.636 O
0.242 0.115 0.636 O
0.743 0.115 0.637 O
0.315 0.514 0.637 O
0.815 0.516 0.636 O
0.435 0.508 0.137 O
0.943 0.515 0.137 O
0.319 0.129 0.137 O
0.815 0.116 0.137 O
0.247 0.365 0.137 O
0.741 0.368 0.136 O
0.227 0.300 0.031 O
0.728 0.304 0.029 O
0.422 0.541 0.030 O
0.925 0.551 0.030 O
0.348 0.154 0.030 O
0.852 0.152 0.030 O
0.228 0.151 0.529 O
0.725 0.151 0.530 O
0.352 0.551 0.530 O
0.847 0.545 0.528 O
0.425 0.299 0.529 O
0.924 0.304 0.529 O
0.265 0.691 0.972 O
0.769 0.696 0.970 O
0.079 0.464 0.971 O
0.579 0.468 0.971 O
0.152 0.842 0.971 O
0.655 0.841 0.972 O
0.272 0.845 0.470 O
0.765 0.840 0.471 O
0.155 0.468 0.471 O
0.650 0.458 0.470 O
0.079 0.691 0.471 O
0.578 0.698 0.470 O
0.062 0.639 0.363 O
0.562 0.637 0.362 O
0.257 0.876 0.362 O
0.757 0.875 0.364 O
0.181 0.486 0.363 O
0.681 0.487 0.362 O
0.063 0.489 0.864 O
0.563 0.487 0.864 O
0.182 0.874 0.863 O
0.680 0.874 0.864 O
0.256 0.639 0.864 O
0.756 0.637 0.863 O
0.015 0.830 0.413 O
0.514 0.830 0.408 O
0.402 0.972 0.406 O
0.900 0.970 0.414 O
0.086 0.200 0.413 O
0.584 0.198 0.407 O
0.015 0.199 0.910 O
0.515 0.200 0.914 O
0.084 0.970 0.909 O
0.585 0.970 0.914 O
0.400 0.830 0.914 O
0.901 0.832 0.909 O
0.492 0.175 0.593 O
0.992 0.177 0.589 O
0.096 0.015 0.589 O
0.596 0.017 0.593 O
0.413 0.809 0.594 O
0.911 0.808 0.589 O
0.489 0.802 0.091 O
0.992 0.809 0.094 O
0.412 0.020 0.091 O
0.913 0.018 0.093 O
0.099 0.175 0.095 O
0.596 0.177 0.089 O
0.347 0.163 0.742 O
0.849 0.165 0.747 O
0.234 0.302 0.747 O
0.734 0.306 0.742 O
0.418 0.531 0.742 O
0.918 0.533 0.747 O
0.348 0.527 0.242 O
0.847 0.532 0.242 O
0.416 0.305 0.242 O
0.919 0.305 0.242 O
0.237 0.166 0.239 O
0.733 0.164 0.247 O
0.320 0.506 0.925 O
0.823 0.509 0.924 O
0.433 0.359 0.925 O
0.932 0.356 0.925 O
0.245 0.135 0.925 O
0.747 0.135 0.925 O
0.325 0.138 0.423 O
0.820 0.134 0.425 O
0.248 0.359 0.424 O
0.745 0.353 0.424 O
0.431 0.510 0.424 O
0.932 0.506 0.424 O
0.179 0.495 0.076 O
0.678 0.497 0.072 O
0.071 0.648 0.072 O
0.568 0.638 0.076 O
0.251 0.864 0.075 O
0.754 0.858 0.073 O
0.178 0.859 0.572 O
0.675 0.859 0.573 O
0.254 0.649 0.573 O
0.752 0.644 0.572 O
0.070 0.497 0.573 O
0.571 0.493 0.572 O
0.156 0.845 0.255 O
0.652 0.841 0.260 O
0.266 0.686 0.259 O
0.768 0.697 0.255 O
0.081 0.464 0.255 O
0.577 0.467 0.259 O
0.152 0.464 0.760 O
0.652 0.464 0.755 O
0.079 0.694 0.760 O
0.580 0.697 0.755 O
0.268 0.839 0.755 O
0.768 0.842 0.760 O
```

***

Entry 2:
Material: Na3YMg3S6O24
Method: DFT, PBE
State: relaxed

The calculation puts the energy relative to the elements at -89.103 eV per formula unit. As for the magnetization: 0.00 μB/cell. As for the symmetry: P1 (1). The calculation puts the volume at 13.993 Å³ per atom.

Geometry as POSCAR:
```
Na3YMg3S6O24
1.0
8.828 -0.001 -0.005
-4.414 7.644 0.003
-0.013 0.003 23.021
Na Y Mg S O
9 3 9 18 72
Direct
0.635 0.998 0.248 Na
0.364 0.363 0.248 Na
0.026 0.694 0.589 Na
0.999 0.016 0.499 Na
0.000 0.999 0.998 Na
0.666 0.332 0.827 Na
0.686 0.351 0.333 Na
0.316 0.665 0.157 Na
0.351 0.665 0.665 Na
0.667 0.333 0.984 Y
0.662 0.328 0.481 Y
0.333 0.667 0.811 Y
0.000 0.995 0.352 Mg
0.000 0.001 0.849 Mg
0.000 0.006 0.652 Mg
0.000 0.996 0.150 Mg
0.662 0.329 0.686 Mg
0.675 0.341 0.178 Mg
0.333 0.667 0.017 Mg
0.341 0.666 0.515 Mg
0.325 0.666 0.317 Mg
0.293 0.999 0.250 S
0.708 0.705 0.251 S
0.999 0.292 0.251 S
0.295 0.282 0.748 S
0.988 0.705 0.746 S
0.718 0.013 0.748 S
0.969 0.334 0.586 S
0.363 0.029 0.586 S
0.666 0.635 0.586 S
0.974 0.640 0.087 S
0.666 0.026 0.089 S
0.360 0.334 0.089 S
0.637 0.680 0.918 S
0.043 0.363 0.918 S
0.320 0.957 0.918 S
0.629 0.951 0.413 S
0.323 0.371 0.413 S
0.048 0.677 0.417 S
0.212 0.028 0.302 O
0.811 0.785 0.303 O
0.968 0.180 0.302 O
0.210 0.187 0.802 O
0.978 0.795 0.798 O
0.813 0.024 0.801 O
0.801 0.993 0.696 O
0.193 0.198 0.696 O
0.005 0.803 0.692 O
0.789 0.816 0.199 O
0.030 0.211 0.199 O
0.190 0.977 0.198 O
0.879 0.363 0.635 O
0.474 0.119 0.636 O
0.643 0.523 0.636 O
0.886 0.528 0.138 O
0.644 0.111 0.142 O
0.467 0.356 0.142 O
0.446 0.310 0.037 O
0.868 0.560 0.033 O
0.691 0.137 0.037 O
0.438 0.131 0.532 O
0.699 0.557 0.533 O
0.865 0.306 0.532 O
0.546 0.691 0.970 O
0.146 0.454 0.970 O
0.309 0.855 0.970 O
0.538 0.851 0.465 O
0.312 0.461 0.465 O
0.140 0.688 0.472 O
0.136 0.658 0.366 O
0.530 0.871 0.358 O
0.342 0.470 0.359 O
0.122 0.466 0.865 O
0.344 0.877 0.865 O
0.533 0.656 0.865 O
0.030 0.835 0.412 O
0.805 0.970 0.410 O
0.165 0.195 0.410 O
0.028 0.189 0.913 O
0.161 0.972 0.913 O
0.811 0.838 0.913 O
0.993 0.182 0.592 O
0.183 0.004 0.592 O
0.827 0.810 0.592 O
0.993 0.815 0.093 O
0.822 0.007 0.094 O
0.185 0.178 0.094 O
0.698 0.170 0.744 O
0.472 0.302 0.744 O
0.830 0.528 0.743 O
0.680 0.525 0.244 O
0.840 0.308 0.243 O
0.473 0.161 0.245 O
0.658 0.522 0.922 O
0.863 0.341 0.922 O
0.478 0.137 0.922 O
0.648 0.130 0.416 O
0.483 0.352 0.416 O
0.868 0.518 0.418 O
0.347 0.494 0.082 O
0.148 0.655 0.080 O
0.506 0.853 0.082 O
0.343 0.851 0.580 O
0.510 0.654 0.578 O
0.142 0.498 0.579 O
0.321 0.846 0.257 O
0.527 0.686 0.256 O
0.158 0.468 0.257 O
0.316 0.463 0.749 O
0.147 0.685 0.748 O
0.537 0.853 0.749 O
```

***

Entry 3:
Material: NaYMgS3O12
Method: DFT, PBE
State: relaxed

The calculation puts the energy relative to the elements at -44.667 eV per formula unit. As for the magnetization: 0.00 μB/cell. The calculation puts the volume at 15.107 Å³ per atom.

Geometry as POSCAR:
```
NaYMgS3O12
1.0
-3.212 -6.502 5.176
6.356 5.426 3.091
-16.630 14.781 8.247
Na Y Mg S O
6 6 6 18 72
Direct
0.000 0.000 0.494 Na
0.000 0.000 0.994 Na
0.667 0.333 0.827 Na
0.667 0.333 0.327 Na
0.333 0.667 0.161 Na
0.333 0.667 0.661 Na
0.000 0.000 0.648 Y
0.000 0.000 0.148 Y
0.667 0.333 0.982 Y
0.667 0.333 0.482 Y
0.333 0.667 0.315 Y
0.333 0.667 0.815 Y
0.000 0.000 0.350 Mg
0.000 0.000 0.850 Mg
0.667 0.333 0.683 Mg
0.667 0.333 0.183 Mg
0.333 0.667 0.016 Mg
0.333 0.667 0.516 Mg
0.302 0.012 0.251 S
0.710 0.698 0.251 S
0.988 0.290 0.251 S
0.302 0.290 0.751 S
0.988 0.698 0.751 S
0.710 0.012 0.751 S
0.968 0.345 0.585 S
0.377 0.032 0.585 S
0.655 0.623 0.585 S
0.968 0.623 0.085 S
0.655 0.032 0.085 S
0.377 0.345 0.085 S
0.635 0.679 0.918 S
0.044 0.365 0.918 S
0.321 0.956 0.918 S
0.635 0.956 0.418 S
0.321 0.365 0.418 S
0.044 0.679 0.418 S
0.213 0.026 0.301 O
0.814 0.787 0.301 O
0.974 0.186 0.301 O
0.213 0.186 0.801 O
0.974 0.787 0.801 O
0.814 0.026 0.801 O
0.789 0.986 0.700 O
0.197 0.211 0.700 O
0.014 0.803 0.700 O
0.789 0.803 0.200 O
0.014 0.211 0.200 O
0.197 0.986 0.200 O
0.879 0.360 0.635 O
0.480 0.121 0.635 O
0.640 0.520 0.635 O
0.879 0.520 0.135 O
0.640 0.121 0.135 O
0.480 0.360 0.135 O
0.455 0.319 0.033 O
0.864 0.545 0.033 O
0.681 0.136 0.033 O
0.455 0.136 0.533 O
0.681 0.545 0.533 O
0.864 0.319 0.533 O
0.546 0.693 0.968 O
0.147 0.454 0.968 O
0.307 0.853 0.968 O
0.546 0.853 0.468 O
0.307 0.454 0.468 O
0.147 0.693 0.468 O
0.122 0.653 0.366 O
0.531 0.878 0.366 O
0.347 0.469 0.366 O
0.122 0.469 0.866 O
0.347 0.878 0.866 O
0.531 0.653 0.866 O
0.027 0.835 0.412 O
0.808 0.973 0.412 O
0.165 0.192 0.412 O
0.027 0.192 0.912 O
0.165 0.973 0.912 O
0.808 0.835 0.912 O
0.988 0.188 0.588 O
0.200 0.012 0.588 O
0.812 0.800 0.588 O
0.988 0.800 0.088 O
0.812 0.012 0.088 O
0.200 0.188 0.088 O
0.694 0.168 0.745 O
0.474 0.306 0.745 O
0.832 0.526 0.745 O
0.694 0.526 0.245 O
0.832 0.306 0.245 O
0.474 0.168 0.245 O
0.655 0.522 0.922 O
0.867 0.345 0.922 O
0.478 0.133 0.922 O
0.655 0.133 0.422 O
0.478 0.345 0.422 O
0.867 0.522 0.422 O
0.360 0.501 0.078 O
0.141 0.640 0.078 O
0.499 0.859 0.078 O
0.360 0.859 0.578 O
0.499 0.640 0.578 O
0.141 0.501 0.578 O
0.322 0.855 0.255 O
0.533 0.678 0.255 O
0.145 0.467 0.255 O
0.322 0.467 0.755 O
0.145 0.678 0.755 O
0.533 0.855 0.755 O
```